# 1
This record from the Materials Project database describes crystalline Sr2GdFe3O9 at its relaxed geometry. The functional is GGA+U.

For the total magnetic moment, the calculation gives 20.0 μB/f.u. The value obtained for the corrected total energy (MP2020 scheme) is -246.97 eV for the cell shown. The space-group type is C2/c, No. 15. The formation energy from the elements comes out at -2.406 eV per atom.

a b c (Å): 5.525 5.525 13.444
angles (deg): 89.95 89.95 60.45
Element x y z (fractional)
O1 0.612 0.714 0.912
O2 0.286 0.388 0.588
O3 0.802 0.322 0.599
O4 0.151 0.649 0.924
O5 0.388 0.286 0.088
O6 0.678 0.198 0.901
O7 0.714 0.612 0.412
O8 0.198 0.678 0.401
O9 0.849 0.351 0.076
O10 0.483 0.948 0.258
O11 0.087 0.913 0.750
O12 0.351 0.849 0.576
O13 0.517 0.052 0.742
O14 0.052 0.517 0.242
O15 0.322 0.802 0.099
O16 0.913 0.087 0.250
O17 0.948 0.483 0.758
O18 0.649 0.151 0.424
Gd1 0.489 0.511 0.250
Gd2 0.511 0.489 0.750
Sr1 0.170 0.164 0.416
Sr2 0.830 0.836 0.584
Sr3 0.836 0.830 0.084
Sr4 0.164 0.170 0.916
Fe1 0.500 0.500 0.500
Fe2 0.168 0.165 0.666
Fe3 0.835 0.832 0.834
Fe4 0.500 0.500 0.000
Fe5 0.832 0.835 0.334
Fe6 0.165 0.168 0.166

# 2
This record from the Materials Project database describes crystalline Gd2VFeO6 at its relaxed geometry. The functional is GGA+U.

For the total magnetic moment, the calculation gives 19.0 μB/f.u. The value obtained for the corrected total energy (MP2020 scheme) is -211.49 eV for the cell shown. The space-group type is P2_1/c, No. 14. The formation energy from the elements comes out at -3.035 eV per atom.

a b c (Å): 5.759 5.423 9.241
angles (deg): 55.53 90.00 90.00
Element x y z (fractional)
O1 0.034 0.127 0.262
O2 0.966 0.873 0.738
O3 0.466 0.127 0.762
O4 0.316 0.352 0.946
O5 0.704 0.240 0.442
O6 0.816 0.648 0.554
O7 0.796 0.240 0.942
O8 0.534 0.873 0.238
O9 0.184 0.352 0.446
O10 0.296 0.760 0.558
O11 0.204 0.760 0.058
O12 0.684 0.648 0.054
Gd1 0.070 0.275 0.748
Gd2 0.570 0.725 0.752
Gd3 0.930 0.725 0.252
Gd4 0.430 0.275 0.248
V1 0.500 0.000 0.000
V2 0.000 0.000 0.500
Fe1 0.500 0.500 0.500
Fe2 0.000 0.500 0.000

Number 1: final energy -7.37 eV per atom. Number 2: final energy -9.77 eV per atom.